# SrMg14W

A relaxed SrMg14W crystal (GGA-PBE, Materials Project).

## Properties
ΔE to the lowest computed polymorph	0.000	eV/atom
crystal system	orthorhombic
energy of formation	3.4	eV/f.u.

Cell lengths 10.270, 6.502, 11.235 Å; angles 90.00, 90.00, 90.00 degrees
Space group Amm2 (No. 38)
One atom of each set of equivalent atoms:
Sr (0.000, 0.000, 0.000) (multiplicity 2)
Mg (0.000, 0.243, 0.250) (multiplicity 4)
Mg (0.231, 0.000, 0.652) (multiplicity 4)
Mg (0.251, 0.235, 0.411) (multiplicity 8)
Mg (0.267, 0.000, 0.165) (multiplicity 4)
Mg (0.500, 0.000, 0.495) (multiplicity 2)
Mg (0.500, 0.000, 0.991) (multiplicity 2)
Mg (0.500, 0.243, 0.745) (multiplicity 4)
W (0.000, 0.000, 0.480) (multiplicity 2)